Record 1
The following is a GGA-PBE calculation of EuBrO2 after structural relaxation, from the Materials Project.

Raw total energy = -54.04 eV/cell
Space group = No. 11
Theoretical density = 5.817 Mg/m³

POSCAR file:
```
EuBrO2
1.0
-0.650 1.662 -3.273
-4.545 -4.179 -1.220
-6.382 1.939 2.252
Eu O Br
2 4 2
Direct
0.250 0.202 0.589
0.750 0.798 0.411
0.750 0.413 0.422
0.750 0.958 0.654
0.250 0.042 0.346
0.250 0.587 0.578
0.250 0.747 0.041
0.750 0.253 0.959
```

Record 2
The following is a GGA-PBE calculation of BaMg14BiO16 after structural relaxation, from the Materials Project.

Raw total energy = -180.46 eV/cell
Space group = No. 123
Theoretical density = 4.255 Mg/m³

POSCAR file:
```
BaMg14BiO16
1.0
-5.775 -1.180 -6.662
3.435 -8.057 -1.550
-3.047 -1.871 2.972
O Mg Bi Ba
16 14 1 1
Direct
0.500 0.235 0.000
0.500 0.000 0.500
0.000 0.279 0.000
0.000 0.000 0.500
0.235 0.500 0.000
0.500 0.500 0.500
0.279 0.000 0.000
0.750 0.750 0.500
0.000 0.721 0.000
0.250 0.750 0.500
0.750 0.250 0.500
0.765 0.500 0.000
0.000 0.500 0.500
0.500 0.765 0.000
0.250 0.250 0.500
0.721 0.000 0.000
0.738 0.000 0.500
0.250 0.250 0.000
0.750 0.250 0.000
0.239 0.500 0.500
0.500 0.239 0.500
0.500 0.000 0.000
0.750 0.750 0.000
0.262 0.000 0.500
0.250 0.750 0.000
0.000 0.262 0.500
0.000 0.738 0.500
0.761 0.500 0.500
0.500 0.761 0.500
0.000 0.500 0.000
0.500 0.500 0.000
0.000 0.000 0.000
```

Record 3
The following is a GGA-PBE calculation of LiMg14BO15 after structural relaxation, from the Materials Project.

Raw total energy = -180.23 eV/cell
Space group = No. 25
Theoretical density = 3.214 Mg/m³

POSCAR file:
```
LiMg14BO15
1.0
-0.243 -1.230 4.099
8.213 1.500 0.936
-1.739 8.076 2.320
O Mg B Li
15 14 1 1
Direct
0.000 0.254 0.005
0.000 0.329 0.491
0.000 0.500 0.268
0.000 0.746 0.005
0.500 0.748 0.746
0.000 0.000 0.273
0.500 0.252 0.746
0.500 0.249 0.253
0.500 0.000 0.500
0.500 0.000 0.998
0.000 0.671 0.491
0.500 0.500 0.488
0.000 0.500 0.772
0.500 0.500 0.011
0.500 0.751 0.253
0.000 0.243 0.242
0.500 0.244 0.000
0.000 0.265 0.757
0.000 0.000 0.509
0.000 0.500 0.002
0.500 0.000 0.247
0.500 0.735 0.499
0.500 0.000 0.753
0.000 0.757 0.242
0.500 0.500 0.745
0.000 0.735 0.757
0.500 0.265 0.499
0.500 0.500 0.249
0.500 0.756 0.000
0.000 0.500 0.441
0.000 0.000 0.009
```

Record 4
The following is a GGA-PBE calculation of NdTi12Bi15O48 after structural relaxation, from the Materials Project.

Raw total energy = -561.84 eV/cell
Space group = No. 1
Theoretical density = 7.677 Mg/m³

POSCAR file:
```
NdTi12Bi15O48
1.0
5.491 0.000 0.000
-0.016 -10.900 0.000
-2.726 0.002 -16.700
O Ti Nd Bi
48 12 1 15
Direct
0.865 0.893 0.987
0.249 0.221 0.363
0.532 0.872 0.499
0.696 0.364 0.783
0.665 0.461 0.119
0.034 0.628 0.502
0.032 0.878 0.499
0.321 0.112 0.021
0.893 0.777 0.640
0.893 0.277 0.640
0.395 0.973 0.640
0.665 0.962 0.120
0.532 0.372 0.499
0.748 0.529 0.363
0.165 0.789 0.120
0.699 0.865 0.780
0.534 0.123 0.502
0.915 0.141 0.223
0.028 0.216 0.887
0.508 0.349 0.251
0.166 0.289 0.120
0.395 0.472 0.640
0.365 0.356 0.985
0.320 0.611 0.023
0.197 0.384 0.780
0.032 0.378 0.499
0.915 0.641 0.223
0.544 0.531 0.887
0.749 0.029 0.363
0.365 0.857 0.986
0.233 0.141 0.756
0.034 0.128 0.502
0.008 0.901 0.251
0.508 0.849 0.251
0.240 0.642 0.756
0.817 0.141 0.022
0.415 0.609 0.222
0.046 0.717 0.887
0.733 0.110 0.758
0.548 0.035 0.888
0.248 0.721 0.363
0.008 0.401 0.251
0.740 0.607 0.756
0.821 0.638 0.022
0.415 0.109 0.223
0.534 0.622 0.502
0.857 0.390 0.983
0.200 0.884 0.781
0.556 0.998 0.003
0.943 0.250 0.745
0.432 0.002 0.744
0.934 0.751 0.744
0.555 0.500 0.003
0.433 0.498 0.745
0.693 0.499 0.258
0.193 0.251 0.258
0.057 0.251 0.001
0.193 0.751 0.258
0.055 0.752 0.003
0.693 0.999 0.258
0.483 0.251 0.873
0.082 0.001 0.134
0.231 0.512 0.423
0.731 0.738 0.423
0.803 0.989 0.577
0.951 0.503 0.867
0.083 0.500 0.134
0.304 0.261 0.577
0.231 0.012 0.423
0.582 0.750 0.134
0.804 0.489 0.577
0.448 0.748 0.867
0.950 0.003 0.868
0.304 0.761 0.577
0.731 0.238 0.423
0.582 0.249 0.133
```

Record 5
The following is a GGA-PBE calculation of BaLaTiCuO6 after structural relaxation, from the Materials Project.

Raw total energy = -72.79 eV/cell
Space group = No. 216
Theoretical density = 6.399 Mg/m³

POSCAR file:
```
BaLaTiCuO6
1.0
0.000 3.974 3.974
3.974 0.000 3.974
3.974 3.974 0.000
O Ba Cu Ti La
6 1 1 1 1
Direct
0.497 0.003 0.003
0.003 0.497 0.003
0.497 0.003 0.497
0.497 0.497 0.003
0.003 0.003 0.497
0.003 0.497 0.497
0.000 0.000 0.000
0.750 0.750 0.750
0.250 0.250 0.250
0.500 0.500 0.500
```

Record 6
The following is a GGA-PBE calculation of Er3As after structural relaxation, from the Materials Project.

Raw total energy = -19.90 eV/cell
Space group = No. 221
Theoretical density = 9.838 Mg/m³

POSCAR file:
```
Er3As
1.0
-3.486 2.993 -0.221
-2.387 -2.560 2.985
1.819 2.377 3.493
Er As
3 1
Direct
0.000 0.500 0.500
0.500 0.500 0.000
0.500 0.000 0.500
0.000 0.000 0.000
```